An optimized crystal structure of MgTi2Be3Si3O12, computed with PBE.

POSCAR file:
```
MgTi2Be3Si3O12
1.0
7.524 0.000 0.000
0.000 8.206 0.000
0.000 8.206 14.182
O Ti Be Mg Si
48 8 12 4 12
direct
0.238 0.381 0.696 O
0.257 0.046 0.707 O
0.967 0.368 0.117 O
0.237 0.730 0.690 O
0.762 0.619 0.304 O
0.876 0.296 0.956 O
0.738 0.619 0.804 O
0.623 0.912 0.146 O
0.376 0.704 0.544 O
0.245 0.042 0.021 O
0.762 0.585 0.478 O
0.262 0.381 0.196 O
0.261 0.392 0.365 O
0.467 0.761 0.051 O
0.743 0.954 0.293 O
0.034 0.104 0.820 O
0.123 0.088 0.354 O
0.033 0.761 0.551 O
0.533 0.368 0.617 O
0.967 0.239 0.449 O
0.243 0.046 0.207 O
0.255 0.042 0.521 O
0.466 0.104 0.320 O
0.033 0.632 0.883 O
0.239 0.392 0.865 O
0.238 0.415 0.522 O
0.377 0.088 0.854 O
0.755 0.958 0.979 O
0.533 0.239 0.949 O
0.757 0.954 0.793 O
0.737 0.270 0.810 O
0.624 0.288 0.148 O
0.745 0.958 0.479 O
0.263 0.730 0.190 O
0.262 0.415 0.022 O
0.877 0.912 0.646 O
0.124 0.712 0.352 O
0.876 0.288 0.648 O
0.763 0.270 0.310 O
0.739 0.608 0.635 O
0.376 0.712 0.852 O
0.124 0.704 0.044 O
0.738 0.585 0.978 O
0.966 0.896 0.180 O
0.534 0.896 0.680 O
0.761 0.608 0.135 O
0.624 0.296 0.456 O
0.467 0.632 0.383 O
0.560 0.840 0.911 Ti
0.930 0.828 0.922 Ti
0.570 0.828 0.422 Ti
0.430 0.172 0.578 Ti
0.060 0.160 0.589 Ti
0.940 0.840 0.411 Ti
0.440 0.160 0.089 Ti
0.070 0.172 0.078 Ti
0.345 0.837 0.738 Be
0.344 0.188 0.919 Be
0.156 0.188 0.419 Be
0.841 0.523 0.906 Be
0.655 0.163 0.262 Be
0.656 0.812 0.081 Be
0.844 0.812 0.581 Be
0.659 0.523 0.406 Be
0.155 0.837 0.238 Be
0.341 0.477 0.594 Be
0.159 0.477 0.094 Be
0.845 0.163 0.762 Be
0.077 0.500 0.751 Mg
0.423 0.500 0.251 Mg
0.577 0.500 0.749 Mg
0.923 0.500 0.249 Mg
0.733 0.461 0.593 Si
0.731 0.189 0.925 Si
0.731 0.849 0.730 Si
0.231 0.811 0.575 Si
0.769 0.849 0.230 Si
0.269 0.151 0.270 Si
0.267 0.539 0.407 Si
0.269 0.811 0.075 Si
0.231 0.151 0.770 Si
0.767 0.461 0.093 Si
0.769 0.189 0.425 Si
0.233 0.539 0.907 Si
```

Energy with MP2020 corrections   -7.92 eV/atom
Magnetic moment   0.19 μB per atom
Crystal system   monoclinic
Space group   No. 14



An optimized crystal structure of Rb3Sb2I9, computed with PBE.

POSCAR file:
```
Rb3Sb2I9
1.0
-7.851 2.526 -1.730
-5.099 -7.744 11.830
-2.213 9.430 23.811
I Sb Rb
36 8 12
direct
0.667 0.478 0.151 I
0.069 0.328 0.824 I
0.062 0.523 0.013 I
0.454 0.748 0.654 I
0.312 0.783 0.990 I
0.168 0.619 0.825 I
0.962 0.187 0.183 I
0.569 0.432 0.816 I
0.333 0.478 0.651 I
0.456 0.567 0.458 I
0.444 0.900 0.793 I
0.038 0.187 0.683 I
0.544 0.567 0.958 I
0.533 0.098 0.480 I
0.976 0.667 0.656 I
0.938 0.523 0.513 I
0.821 0.287 0.988 I
0.546 0.748 0.154 I
0.051 0.856 0.351 I
0.179 0.287 0.488 I
0.431 0.432 0.316 I
0.055 0.013 0.490 I
0.671 0.136 0.818 I
0.810 0.966 0.655 I
0.556 0.900 0.293 I
0.945 0.013 0.990 I
0.024 0.667 0.156 I
0.931 0.328 0.324 I
0.688 0.783 0.490 I
0.832 0.619 0.325 I
0.551 0.224 0.632 I
0.449 0.224 0.132 I
0.329 0.136 0.318 I
0.467 0.098 0.980 I
0.190 0.966 0.155 I
0.949 0.856 0.851 I
0.244 0.209 0.410 Sb
0.756 0.209 0.910 Sb
0.740 0.553 0.230 Sb
0.743 0.699 0.414 Sb
0.257 0.699 0.914 Sb
0.260 0.553 0.730 Sb
0.753 0.053 0.730 Sb
0.247 0.053 0.230 Sb
0.276 0.686 0.296 Rb
0.760 0.761 0.007 Rb
0.240 0.761 0.507 Rb
0.262 0.003 0.634 Rb
0.772 0.071 0.349 Rb
0.787 0.418 0.681 Rb
0.228 0.071 0.849 Rb
0.738 0.003 0.134 Rb
0.724 0.686 0.796 Rb
0.213 0.418 0.181 Rb
0.724 0.340 0.465 Rb
0.276 0.340 0.965 Rb
```

Energy with MP2020 corrections   -2.89 eV/atom
Magnetic moment   0.00 μB per atom
Crystal system   monoclinic
Space group   No. 7



An optimized crystal structure of BeBiO3, computed with PBE.

POSCAR file:
```
BeBiO3
1.0
3.674 0.000 0.000
0.000 3.674 0.000
0.000 0.000 3.674
O Be Bi
3 1 1
direct
0.500 0.500 0.000 O
0.500 0.000 0.500 O
0.000 0.500 0.500 O
0.500 0.500 0.500 Be
0.000 0.000 0.000 Bi
```

Energy with MP2020 corrections   -6.13 eV/atom
Magnetic moment   0.20 μB per atom
Crystal system   cubic
Space group   No. 221



An optimized crystal structure of Gd3SbO7, computed with PBE.

POSCAR file:
```
Gd3SbO7
1.0
3.780 -5.360 0.000
3.780 5.360 0.000
0.000 0.000 7.612
O Sb Gd
14 2 6
direct
0.929 0.681 0.971 O
0.372 0.628 0.750 O
0.319 0.071 0.529 O
0.067 0.933 0.250 O
0.628 0.372 0.250 O
0.933 0.067 0.750 O
0.681 0.929 0.029 O
0.362 0.638 0.250 O
0.681 0.929 0.471 O
0.319 0.071 0.971 O
0.638 0.362 0.750 O
0.929 0.681 0.529 O
0.071 0.319 0.471 O
0.071 0.319 0.029 O
0.000 0.000 0.500 Sb
0.000 0.000 0.000 Sb
0.500 0.500 0.500 Gd
0.468 0.001 0.250 Gd
0.532 0.999 0.750 Gd
0.999 0.532 0.250 Gd
0.500 0.500 0.000 Gd
0.001 0.468 0.750 Gd
```

Energy with MP2020 corrections   -10.73 eV/atom
Crystal system   orthorhombic
Space group   No. 63
Energy relative to the lowest polymorph listed for this composition   0.000 eV/atom



An optimized crystal structure of ZnMo2Se4, computed with PBE.

POSCAR file:
```
ZnMo2Se4
1.0
-1.178 1.992 2.371
1.805 0.592 2.715
7.528 14.061 -8.071
Se Zn Mo
4 1 2
direct
0.667 0.667 0.867 Se
0.667 0.667 0.679 Se
0.333 0.333 0.333 Se
0.333 0.333 0.145 Se
0.333 0.333 0.520 Zn
0.333 0.333 0.773 Mo
0.667 0.667 0.239 Mo
```

Energy with MP2020 corrections   -6.02 eV/atom
Magnetic moment   0.00 μB per atom
Crystal system   trigonal
Space group   No. 156



An optimized crystal structure of Li2TlPt, computed with PBE.

POSCAR file:
```
Li2TlPt
1.0
-3.151 -3.194 -0.159
-4.342 1.134 -0.129
-2.373 -0.627 -3.759
Tl Li Pt
1 2 1
direct
0.000 0.000 0.000 Tl
0.250 0.250 0.250 Li
0.750 0.750 0.750 Li
0.500 0.500 0.500 Pt
```

Magnetic moment   0.00 μB per atom
Crystal system   cubic
Space group   No. 225



An optimized crystal structure of Na3InSiGeP2O12, computed with PBE.

POSCAR file:
```
Na3InSiGeP2O12
1.0
-12.486 -8.681 -2.767
2.421 -0.738 -8.610
8.127 -3.016 2.544
Si O Na In P Ge
4 48 12 4 8 4
direct
0.150 0.612 0.248 Si
0.650 0.112 0.248 Si
0.650 0.888 0.748 Si
0.150 0.388 0.748 Si
0.039 0.690 0.057 O
0.426 0.437 0.077 O
0.854 0.414 0.256 O
0.255 0.859 0.746 O
0.751 0.199 0.265 O
0.951 0.649 0.436 O
0.926 0.063 0.577 O
0.951 0.351 0.936 O
0.451 0.851 0.936 O
0.069 0.855 0.741 O
0.854 0.368 0.586 O
0.563 0.456 0.429 O
0.251 0.699 0.265 O
0.926 0.937 0.077 O
0.651 0.155 0.419 O
0.539 0.190 0.057 O
0.751 0.801 0.765 O
0.910 0.141 0.251 O
0.156 0.567 0.747 O
0.854 0.586 0.756 O
0.656 0.933 0.247 O
0.410 0.641 0.251 O
0.426 0.563 0.577 O
0.569 0.645 0.241 O
0.910 0.859 0.751 O
0.354 0.914 0.256 O
0.755 0.359 0.746 O
0.854 0.632 0.086 O
0.755 0.641 0.246 O
0.651 0.845 0.919 O
0.156 0.433 0.247 O
0.410 0.359 0.751 O
0.063 0.044 0.929 O
0.569 0.355 0.741 O
0.354 0.868 0.586 O
0.354 0.086 0.756 O
0.354 0.132 0.086 O
0.063 0.956 0.429 O
0.151 0.345 0.919 O
0.251 0.301 0.765 O
0.151 0.655 0.419 O
0.451 0.149 0.436 O
0.563 0.544 0.929 O
0.069 0.145 0.241 O
0.539 0.810 0.557 O
0.255 0.141 0.246 O
0.039 0.310 0.557 O
0.656 0.067 0.747 O
0.506 0.102 0.756 Na
0.506 0.898 0.256 Na
0.686 0.569 0.791 Na
0.252 0.730 0.996 Na
0.006 0.602 0.756 Na
0.186 0.931 0.291 Na
0.252 0.270 0.496 Na
0.006 0.398 0.256 Na
0.686 0.431 0.291 Na
0.752 0.770 0.496 Na
0.186 0.069 0.791 Na
0.752 0.230 0.996 Na
0.103 0.746 0.561 In
0.603 0.754 0.061 In
0.103 0.254 0.061 In
0.603 0.246 0.561 In
0.992 0.041 0.250 P
0.354 0.091 0.254 P
0.992 0.959 0.750 P
0.492 0.541 0.250 P
0.354 0.909 0.754 P
0.492 0.459 0.750 P
0.854 0.409 0.754 P
0.854 0.591 0.254 P
0.398 0.739 0.434 Ge
0.898 0.239 0.434 Ge
0.398 0.261 0.934 Ge
0.898 0.761 0.934 Ge
```

Energy with MP2020 corrections   -6.83 eV/atom
Magnetic moment   0.00 μB per atom
Energy relative to the lowest polymorph listed for this composition   0.006 eV/atom



An optimized crystal structure of Nb16Tl16O53, computed with PBE.

POSCAR file:
```
Nb16Tl16O53
1.0
-5.390 5.390 10.783
5.390 -5.390 10.783
5.390 5.390 -10.783
Tl O Nb
16 53 16
direct
0.813 0.063 0.000 Tl
0.435 0.435 0.752 Tl
0.937 0.937 0.751 Tl
0.929 0.433 0.739 Tl
0.071 0.810 0.504 Tl
0.683 0.683 0.248 Tl
0.433 0.929 0.739 Tl
0.307 0.567 0.496 Tl
0.567 0.307 0.496 Tl
0.187 0.187 0.249 Tl
0.565 0.317 0.000 Tl
0.190 0.693 0.261 Tl
0.693 0.190 0.261 Tl
0.317 0.565 0.000 Tl
0.063 0.813 0.000 Tl
0.810 0.071 0.504 Tl
0.444 0.628 0.320 O
0.122 0.644 0.000 O
0.628 0.444 0.320 O
0.184 0.876 0.812 O
0.936 0.124 0.308 O
0.820 0.500 0.320 O
0.816 0.628 0.692 O
0.570 0.752 0.820 O
0.430 0.250 0.182 O
0.372 0.064 0.188 O
0.000 0.707 0.707 O
0.463 0.967 0.000 O
0.307 0.124 0.680 O
0.628 0.816 0.692 O
0.411 0.911 0.500 O
0.781 0.278 0.000 O
0.932 0.750 0.180 O
0.967 0.463 0.000 O
0.278 0.781 0.000 O
0.693 0.372 0.817 O
0.854 0.854 0.000 O
0.657 0.657 0.000 O
0.556 0.876 0.183 O
0.356 0.356 0.478 O
0.089 0.589 0.500 O
0.589 0.089 0.500 O
0.722 0.722 0.503 O
0.876 0.556 0.183 O
0.000 0.000 0.000 O
0.644 0.122 0.000 O
0.124 0.307 0.680 O
0.068 0.248 0.818 O
0.500 0.820 0.320 O
0.250 0.430 0.182 O
0.146 0.146 0.000 O
0.293 0.000 0.293 O
0.752 0.570 0.820 O
0.537 0.537 0.504 O
0.180 0.500 0.680 O
0.343 0.343 0.000 O
0.000 0.293 0.293 O
0.911 0.411 0.500 O
0.707 0.000 0.707 O
0.372 0.693 0.817 O
0.033 0.033 0.496 O
0.219 0.219 0.497 O
0.064 0.372 0.188 O
0.124 0.936 0.308 O
0.750 0.932 0.180 O
0.876 0.184 0.812 O
0.248 0.068 0.818 O
0.878 0.878 0.522 O
0.500 0.180 0.680 O
0.437 0.937 0.248 Nb
0.312 0.061 0.000 Nb
0.564 0.812 0.000 Nb
0.063 0.311 0.499 Nb
0.311 0.063 0.499 Nb
0.436 0.436 0.247 Nb
0.188 0.689 0.752 Nb
0.812 0.563 0.501 Nb
0.563 0.812 0.501 Nb
0.689 0.188 0.752 Nb
0.688 0.688 0.748 Nb
0.937 0.437 0.248 Nb
0.188 0.188 0.753 Nb
0.939 0.939 0.252 Nb
0.812 0.564 0.000 Nb
0.061 0.312 0.000 Nb
```

Energy with MP2020 corrections   -7.80 eV/atom
Magnetic moment   0.02 μB per atom
Crystal system   tetragonal
Space group   No. 121



For each record above, in turn, the calculated calculated formation energy values are -2.95 -1.11 -1.63 -3.36 -0.74 -0.40 -2.48 -2.37 eV/atom.